[1]
Computed, not measured: a relaxed structure of Sr5Fe3F19 at the PBE with a Hubbard U level of DFT.

abc: 7.415 10.858 10.957
angles: 84.64 71.98 72.31
Atoms (fractional coordinates):
1 Sr 0.080 0.678 0.178
2 Sr 0.282 0.275 0.161
3 Sr 0.266 0.494 0.476
4 Sr 0.261 0.818 0.675
5 Sr 0.450 0.835 0.274
6 Sr 0.547 0.175 0.720
7 Sr 0.732 0.187 0.321
8 Sr 0.727 0.512 0.518
9 Sr 0.733 0.720 0.829
10 Sr 0.923 0.324 0.809
11 Fe 0.286 0.996 0.992
12 Fe 0.152 0.163 0.511
13 Fe 0.787 0.005 0.000
14 Fe 0.317 0.519 0.837
15 Fe 0.689 0.482 0.155
16 Fe 0.842 0.840 0.483
17 F 0.030 0.191 0.373
18 F 0.281 0.039 0.162
19 F 0.040 0.353 0.544
20 F 0.153 0.464 0.293
21 F 0.249 0.485 0.018
22 F 0.081 0.848 0.345
23 F 0.256 0.165 0.655
24 F 0.291 0.172 0.941
25 F 0.070 0.657 0.851
26 F 0.375 0.212 0.386
27 F 0.296 0.825 0.059
28 F 0.222 0.386 0.792
29 F 0.430 0.617 0.194
30 F 0.620 0.080 0.166
31 F 0.576 0.344 0.148
32 F 0.268 0.979 0.487
33 F 0.375 0.564 0.651
34 F 0.416 0.691 0.453
35 F 0.573 0.312 0.536
36 F 0.621 0.442 0.341
37 F 0.727 0.025 0.514
38 F 0.433 0.656 0.844
39 F 0.582 0.390 0.785
40 F 0.782 0.615 0.200
41 F 0.357 0.944 0.817
42 F 0.706 0.171 0.918
43 F 0.625 0.783 0.611
44 F 0.931 0.339 0.148
45 F 0.825 0.837 0.081
46 F 0.722 0.850 0.349
47 F 0.910 0.159 0.648
48 F 0.763 0.511 0.972
49 F 0.866 0.537 0.696
50 F 0.955 0.652 0.444
51 F 0.996 0.056 0.043
52 F 0.587 0.948 0.945
53 F 0.956 0.811 0.626
54 F 0.965 0.935 0.840

Values from the calculation:
space group = P1 (1)
E above lowest polymorph = 0.0 meV/atom
energy of formation = -94.8 eV per formula unit
spin magnetization = 0.56 μB per atom
ρ = 4.017 g cm⁻³

***

[2]
Computed, not measured: a relaxed structure of KCoO2 at the PBE with a Hubbard U level of DFT.

abc: 6.512 6.493 6.923
angles: 73.39 76.38 104.05
Atoms (fractional coordinates):
1 K 0.732 0.652 0.731
2 K 0.232 0.652 0.731
3 K 0.268 0.348 0.269
4 K 0.768 0.348 0.269
5 Co 0.922 0.892 0.207
6 Co 0.578 0.108 0.793
7 Co 0.422 0.892 0.207
8 Co 0.078 0.108 0.793
9 O 0.044 0.206 0.028
10 O 0.544 0.206 0.028
11 O 0.956 0.794 0.972
12 O 0.456 0.794 0.972
13 O 0.881 0.181 0.650
14 O 0.381 0.181 0.650
15 O 0.119 0.819 0.350
16 O 0.619 0.819 0.350

Values from the calculation:
energy of formation = -5.8 eV per formula unit
spin magnetization = 0.00 μB per atom
ρ = 3.360 g cm⁻³

***

[3]
Computed, not measured: a relaxed structure of AlV2O4 at the PBE with a Hubbard U level of DFT.

abc: 5.911 5.909 5.910
angles: 60.92 60.91 60.92
Atoms (fractional coordinates):
1 Al 0.624 0.624 0.624
2 Al 0.376 0.376 0.376
3 V 0.000 0.500 0.000
4 V 0.000 0.000 0.000
5 V 0.500 0.000 0.000
6 V 0.000 0.000 0.500
7 O 0.251 0.747 0.747
8 O 0.253 0.253 0.749
9 O 0.253 0.749 0.253
10 O 0.251 0.251 0.251
11 O 0.747 0.747 0.251
12 O 0.749 0.253 0.253
13 O 0.747 0.251 0.747
14 O 0.749 0.749 0.749

Values from the calculation:
space group = R-3m (166)
E above lowest polymorph = 53.2 meV/atom
energy of formation = -19.0 eV per formula unit
ρ = 4.299 g cm⁻³

***

[4]
Computed, not measured: a relaxed structure of Li3Mn4B4O12 at the PBE with a Hubbard U level of DFT.

abc: 6.193 9.077 9.672
angles: 78.04 80.14 72.82
Atoms (fractional coordinates):
1 Li 0.319 0.619 0.999
2 Li 0.414 0.893 0.243
3 Li 0.186 0.382 0.500
4 Li 0.814 0.618 0.500
5 Li 0.586 0.107 0.757
6 Li 0.681 0.381 0.001
7 Mn 0.012 0.812 0.223
8 Mn 0.218 0.707 0.533
9 Mn 0.735 0.709 0.021
10 Mn 0.535 0.796 0.716
11 Mn 0.465 0.204 0.284
12 Mn 0.265 0.291 0.979
13 Mn 0.782 0.293 0.467
14 Mn 0.988 0.188 0.777
15 B 0.047 0.470 0.232
16 B 0.466 0.541 0.269
17 B 0.287 0.961 0.970
18 B 0.758 0.967 0.477
19 B 0.242 0.033 0.523
20 B 0.713 0.039 0.030
21 B 0.534 0.459 0.731
22 B 0.953 0.530 0.768
23 O 0.187 0.966 0.107
24 O 0.039 0.606 0.132
25 O 0.255 0.894 0.622
26 O 0.703 0.900 0.124
27 O 0.355 0.680 0.320
28 O 0.186 0.328 0.193
29 O 0.067 0.526 0.633
30 O 0.571 0.536 0.132
31 O 0.653 0.977 0.613
32 O 0.461 0.399 0.363
33 O 0.114 0.176 0.561
34 O 0.396 0.818 0.923
35 O 0.604 0.182 0.077
36 O 0.886 0.824 0.439
37 O 0.539 0.601 0.637
38 O 0.347 0.023 0.387
39 O 0.429 0.464 0.868
40 O 0.933 0.474 0.367
41 O 0.814 0.672 0.807
42 O 0.645 0.320 0.680
43 O 0.297 0.100 0.876
44 O 0.745 0.106 0.378
45 O 0.961 0.394 0.868
46 O 0.813 0.034 0.893

Values from the calculation:
space group = P-1 (2)
E above lowest polymorph = 3.7 meV/atom
energy of formation = -56.8 eV per formula unit
spin magnetization = 0.83 μB per atom
ρ = 3.131 g cm⁻³

***

Among the records above, which one has the lowest ρ? Li3Mn4B4O12

***

energy of formation of number 1 (Sr5Fe3F19)? -94.8 eV per formula unit

***

Which of these has the highest energy of formation? KCoO2